Record 1
Here is an optimized crystal structure of Cs2ErSi4O10F from the Materials Project. Energies are from PBE.

Unit cell a=9.0373 b=12.1340 c=22.6551 alpha=90.00 beta=90.00 gamma=90.00
Positions (direct):
O  0.5295  0.6396  0.5556
O  0.4705  0.1396  0.9444
O  0.4691  0.2116  0.6625
O  0.7500  0.1136  0.3937
O  0.9880  0.7472  0.4518
O  0.0244  0.7202  0.1620
O  0.4756  0.7202  0.1620
O  0.4991  0.6380  0.0502
O  0.0009  0.6380  0.0502
O  0.0134  0.9981  0.6401
O  0.2500  0.0775  0.6953
O  0.5134  0.0019  0.3599
O  0.5120  0.7472  0.4518
O  0.5244  0.2798  0.8380
O  0.0309  0.2884  0.1625
O  0.0094  0.9279  0.2479
O  0.7500  0.5775  0.8047
O  0.4880  0.2528  0.5482
O  0.2500  0.2237  0.4824
O  0.0094  0.5817  0.3716
O  0.2500  0.4225  0.1953
O  0.0094  0.5721  0.7479
O  0.9756  0.2202  0.3380
O  0.4691  0.2884  0.1625
O  0.4906  0.5817  0.3716
O  0.5094  0.4279  0.2521
O  0.9866  0.4981  0.8599
O  0.5094  0.4183  0.6284
O  0.2500  0.6136  0.1063
O  0.4705  0.3604  0.4444
O  0.2500  0.8864  0.6063
O  0.0244  0.7798  0.6620
O  0.9866  0.0019  0.3599
O  0.5309  0.7116  0.8375
O  0.0094  0.9183  0.8716
O  0.9705  0.6396  0.5556
O  0.9906  0.4183  0.6284
O  0.4906  0.9183  0.8716
O  0.0120  0.2528  0.5482
O  0.9906  0.0721  0.7521
O  0.4906  0.5721  0.7479
O  0.4906  0.9279  0.2479
O  0.7500  0.3864  0.8937
O  0.5094  0.0817  0.1284
O  0.5295  0.8604  0.0556
O  0.7500  0.8183  0.8915
O  0.5009  0.3620  0.9498
O  0.4756  0.7798  0.6620
O  0.7500  0.7237  0.0176
O  0.9906  0.4279  0.2521
O  0.9691  0.7116  0.8375
O  0.0134  0.5019  0.1401
O  0.9880  0.7528  0.9518
O  0.9691  0.7884  0.3375
O  0.4991  0.8620  0.5502
O  0.5120  0.7528  0.9518
O  0.2500  0.3183  0.6085
O  0.0295  0.3604  0.4444
O  0.4866  0.9981  0.6401
O  0.5009  0.1380  0.4498
O  0.0009  0.8620  0.5502
O  0.7500  0.6817  0.3915
O  0.2500  0.1817  0.1085
O  0.5094  0.0721  0.7521
O  0.4880  0.2472  0.0482
O  0.9991  0.3620  0.9498
O  0.0309  0.2116  0.6625
O  0.7500  0.9225  0.3047
O  0.7500  0.7763  0.5176
O  0.9756  0.2798  0.8380
O  0.5134  0.4981  0.8599
O  0.9906  0.0817  0.1284
O  0.9991  0.1380  0.4498
O  0.9705  0.8604  0.0556
O  0.0295  0.1396  0.9444
O  0.4866  0.5019  0.1401
O  0.5309  0.7884  0.3375
O  0.5244  0.2202  0.3380
O  0.2500  0.2763  0.9824
O  0.0120  0.2472  0.0482
Cs  0.7500  0.1781  0.2283
Cs  0.7500  0.4530  0.5160
Cs  0.2500  0.1226  0.2627
Cs  0.2500  0.9530  0.9840
Cs  0.2500  0.5572  0.9561
Cs  0.7500  0.8774  0.7373
Cs  0.2500  0.5470  0.4840
Cs  0.7500  0.6226  0.2373
Cs  0.2500  0.8219  0.7717
Cs  0.7500  0.0470  0.0160
Cs  0.2500  0.6781  0.2717
Cs  0.2500  0.3774  0.7627
Cs  0.7500  0.4428  0.0439
Cs  0.7500  0.0572  0.5439
Cs  0.7500  0.3219  0.7283
Cs  0.2500  0.9428  0.4561
Si  0.5731  0.7508  0.0208
Si  0.4279  0.8756  0.6175
Si  0.9297  0.6950  0.3882
Si  0.0704  0.4108  0.1899
Si  0.5704  0.5892  0.8101
Si  0.9279  0.3756  0.8825
Si  0.5703  0.8050  0.8882
Si  0.5704  0.9108  0.3101
Si  0.4297  0.1950  0.1118
Si  0.4269  0.2492  0.9792
Si  0.4269  0.2508  0.4792
Si  0.0731  0.2508  0.4792
Si  0.9297  0.8050  0.8882
Si  0.9279  0.1244  0.3825
Si  0.9269  0.7492  0.5208
Si  0.5731  0.7492  0.5208
Si  0.9269  0.7508  0.0208
Si  0.9296  0.9108  0.3101
Si  0.0721  0.6244  0.1175
Si  0.5721  0.1244  0.3825
Si  0.4296  0.4108  0.1899
Si  0.0731  0.2492  0.9792
Si  0.0704  0.0892  0.6899
Si  0.4296  0.0892  0.6899
Si  0.4279  0.6244  0.1175
Si  0.5703  0.6950  0.3882
Si  0.5721  0.3756  0.8825
Si  0.9296  0.5892  0.8101
Si  0.4297  0.3050  0.6118
Si  0.0703  0.3050  0.6118
Si  0.0703  0.1950  0.1118
Si  0.0721  0.8756  0.6175
Er  0.5001  0.4031  0.3490
Er  0.5001  0.0969  0.8490
Er  0.4999  0.9031  0.1510
Er  0.9999  0.0969  0.8490
Er  0.0001  0.5969  0.6510
Er  0.4999  0.5969  0.6510
Er  0.0001  0.9031  0.1510
Er  0.9999  0.4031  0.3490
F  0.7500  0.0862  0.8549
F  0.2500  0.3989  0.3418
F  0.7500  0.4138  0.3549
F  0.7500  0.6011  0.6582
F  0.2500  0.5862  0.6451
F  0.2500  0.1011  0.8418
F  0.2500  0.9138  0.1451
F  0.7500  0.8989  0.1582

total energy after the MP2020 corrections = -139.20 eV per formula unit



Record 2
Here is an optimized crystal structure of NbSe3 from the Materials Project. Energies are from PBE.

Unit cell a=3.5152 b=10.7495 c=15.8433 alpha=71.35 beta=90.00 gamma=90.00
Positions (direct):
Se  0.2500  0.7949  0.2799
Se  0.7500  0.5513  0.4071
Se  0.7500  0.8922  0.4256
Se  0.7500  0.1879  0.0787
Se  0.7500  0.7429  0.5761
Se  0.2500  0.8121  0.9213
Se  0.7500  0.2078  0.2327
Se  0.7500  0.5499  0.0690
Se  0.7500  0.1937  0.9054
Se  0.2500  0.4487  0.5929
Se  0.2500  0.2571  0.4239
Se  0.7500  0.2051  0.7201
Se  0.2500  0.4501  0.9310
Se  0.2500  0.1078  0.5744
Se  0.2500  0.7922  0.7673
Se  0.7500  0.5337  0.7503
Se  0.2500  0.8063  0.0946
Se  0.2500  0.4663  0.2497
Nb  0.7500  0.3057  0.5373
Nb  0.7500  0.6639  0.2111
Nb  0.2500  0.6943  0.4627
Nb  0.7500  0.6479  0.8845
Nb  0.2500  0.3521  0.1155
Nb  0.2500  0.3361  0.7889

total energy after the MP2020 corrections = -24.64 eV per formula unit



Record 3
Here is an optimized crystal structure of Dy6Zn23 from the Materials Project. Energies are from PBE.

Unit cell a=8.9807 b=8.9807 c=8.9807 alpha=60.00 beta=60.00 gamma=60.00
Positions (direct):
Zn  0.3285  0.3285  0.3285
Zn  0.1222  0.1222  0.1222
Zn  0.3285  0.3285  0.0144
Zn  0.0000  0.5000  0.5000
Zn  0.8778  0.8778  0.3667
Zn  0.0144  0.3285  0.3285
Zn  0.0000  0.0000  0.0000
Zn  0.6715  0.9856  0.6715
Zn  0.0000  0.0000  0.5000
Zn  0.5000  0.0000  0.0000
Zn  0.8778  0.8778  0.8778
Zn  0.5000  0.5000  0.0000
Zn  0.1222  0.1222  0.6333
Zn  0.3667  0.8778  0.8778
Zn  0.1222  0.6333  0.1222
Zn  0.6715  0.6715  0.9856
Zn  0.6715  0.6715  0.6715
Zn  0.9856  0.6715  0.6715
Zn  0.8778  0.3667  0.8778
Zn  0.5000  0.0000  0.5000
Zn  0.0000  0.5000  0.0000
Zn  0.6333  0.1222  0.1222
Zn  0.3285  0.0144  0.3285
Dy  0.7081  0.2919  0.7081
Dy  0.2919  0.7081  0.7081
Dy  0.7081  0.2919  0.2919
Dy  0.2919  0.7081  0.2919
Dy  0.7081  0.7081  0.2919
Dy  0.2919  0.2919  0.7081



Record 4
Here is an optimized crystal structure of KAg3Te2 from the Materials Project. Energies are from PBE.

Unit cell a=9.8761 b=9.8761 c=9.7474 alpha=64.32 beta=64.32 gamma=28.00
Positions (direct):
Ag  0.7121  0.7121  0.5966
Ag  0.7338  0.7338  0.0906
Ag  0.4224  0.4224  0.6204
Ag  0.2662  0.2662  0.9094
Ag  0.5776  0.5776  0.3796
Ag  0.2879  0.2879  0.4034
Te  0.5575  0.5575  0.6820
Te  0.1883  0.1883  0.2645
Te  0.4425  0.4425  0.3180
Te  0.8117  0.8117  0.7355
K  0.4001  0.4001  0.0182
K  0.5999  0.5999  0.9818

total energy after the MP2020 corrections = -17.56 eV per formula unit



Record 5
Here is an optimized crystal structure of BaNaH3Pd from the Materials Project. Energies are from PBE.

Unit cell a=6.0897 b=6.0897 c=6.2097 alpha=90.00 beta=90.00 gamma=120.00
Positions (direct):
Pd  0.3333  0.6667  0.2500
Pd  0.6667  0.3333  0.7500
Na  0.0000  0.0000  0.5000
Na  0.0000  0.0000  0.0000
H  0.8319  0.6639  0.7500
H  0.1681  0.3361  0.2500
H  0.8319  0.1681  0.7500
H  0.6639  0.8319  0.2500
H  0.1681  0.8319  0.2500
H  0.3361  0.1681  0.7500
Ba  0.6667  0.3333  0.2500
Ba  0.3333  0.6667  0.7500



Record 6
Here is an optimized crystal structure of Cs2NaSbF6 from the Materials Project. Energies are from PBE.

Unit cell a=6.5507 b=6.5507 c=6.5507 alpha=60.00 beta=60.00 gamma=60.00
Positions (direct):
F  0.7598  0.2402  0.2402
F  0.2402  0.2402  0.7598
F  0.7598  0.7598  0.2402
F  0.7598  0.2402  0.7598
F  0.2402  0.7598  0.7598
F  0.2402  0.7598  0.2402
Cs  0.7500  0.7500  0.7500
Cs  0.2500  0.2500  0.2500
Na  0.5000  0.5000  0.5000
Sb  0.0000  0.0000  0.0000

total energy after the MP2020 corrections = -47.63 eV per formula unit



Record 7
Here is an optimized crystal structure of HfTiMo4 from the Materials Project. Energies are from PBE.

Unit cell a=5.3131 b=5.3131 c=5.3131 alpha=60.00 beta=60.00 gamma=60.00
Positions (direct):
Ti  0.0000  0.0000  0.0000
Hf  0.2500  0.2500  0.2500
Mo  0.6251  0.6251  0.1247
Mo  0.6251  0.6251  0.6251
Mo  0.1247  0.6251  0.6251
Mo  0.6251  0.1247  0.6251



Record 8
Here is an optimized crystal structure of CsMg6SiO8 from the Materials Project. Energies are from PBE.

Unit cell a=7.3905 b=4.2079 c=6.8069 alpha=89.56 beta=88.60 gamma=90.01
Positions (direct):
Mg  0.2846  0.4944  0.1042
Mg  0.2744  0.9988  0.3998
Mg  0.5059  0.9980  0.8953
Mg  0.7344  0.4951  0.0847
Mg  0.4946  0.4985  0.5802
Mg  0.7099  0.9991  0.3759
O  0.4978  0.9990  0.5939
O  0.5074  0.4986  0.9040
O  0.2728  0.0011  0.0910
O  0.6877  0.4991  0.3717
O  0.0138  0.5705  0.0433
O  0.9939  0.0014  0.3458
O  0.7470  0.0011  0.0658
O  0.2887  0.4986  0.3996
Cs  0.9764  0.4858  0.6428
Si  0.0108  0.9608  0.1019

polymorph energy (0 for the lowest one) = 0 meV/atom
total energy after the MP2020 corrections = -97.97 eV per formula unit



Record 9
Here is an optimized crystal structure of GdScGe from the Materials Project. Energies are from PBE.

Unit cell a=8.4233 b=8.4233 c=8.4233 alpha=150.67 beta=150.67 gamma=41.95
Positions (direct):
Ge  0.8742  0.8742  0.0000
Ge  0.1258  0.1258  0.0000
Sc  0.0000  0.5000  0.5000
Sc  0.5000  0.0000  0.5000
Gd  0.3228  0.3228  0.0000
Gd  0.6772  0.6772  0.0000



Record 10
Here is an optimized crystal structure of RbGaH4 from the Materials Project. Energies are from PBE.

Unit cell a=5.9214 b=7.8123 c=9.7179 alpha=90.00 beta=90.00 gamma=90.00
Positions (direct):
H  0.7500  0.4494  0.8204
H  0.0313  0.6875  0.5818
H  0.5313  0.1875  0.9182
H  0.2500  0.6141  0.9115
H  0.2500  0.9494  0.6796
H  0.0313  0.8125  0.0818
H  0.7500  0.3859  0.0885
H  0.5313  0.3125  0.4182
H  0.4687  0.8125  0.0818
H  0.4687  0.6875  0.5818
H  0.9687  0.1875  0.9182
H  0.7500  0.1141  0.5885
H  0.2500  0.8859  0.4115
H  0.2500  0.5506  0.1796
H  0.7500  0.0506  0.3204
H  0.9687  0.3125  0.4182
Ga  0.7500  0.3069  0.9379
Ga  0.2500  0.6931  0.0621
Ga  0.2500  0.8069  0.5621
Ga  0.7500  0.1931  0.4379
Rb  0.7500  0.6625  0.3175
Rb  0.2500  0.3375  0.6825
Rb  0.2500  0.1625  0.1825
Rb  0.7500  0.8375  0.8175

total energy after the MP2020 corrections = -19.38 eV per formula unit



Record 11
Here is an optimized crystal structure of TaTiZnP3O12 from the Materials Project. Energies are from PBE.

Unit cell a=9.3443 b=9.3443 c=9.3443 alpha=54.25 beta=54.25 gamma=54.25
Positions (direct):
O  0.9278  0.6948  0.0723
O  0.4278  0.5723  0.1948
O  0.9331  0.0723  0.2966
O  0.2966  0.9331  0.0723
O  0.3492  0.2597  0.9891
O  0.8492  0.4891  0.7597
O  0.2524  0.1428  0.5074
O  0.7966  0.5723  0.4331
O  0.4331  0.7966  0.5723
O  0.0723  0.9278  0.6948
O  0.0723  0.2966  0.9331
O  0.1428  0.5074  0.2524
O  0.5723  0.4331  0.7966
O  0.5723  0.1948  0.4278
O  0.7524  0.0074  0.6428
O  0.4891  0.7597  0.8492
O  0.0074  0.6428  0.7524
O  0.6428  0.7524  0.0074
O  0.5074  0.2524  0.1428
O  0.9891  0.3492  0.2597
O  0.6948  0.0723  0.9278
O  0.1948  0.4278  0.5723
O  0.2597  0.9891  0.3492
O  0.7597  0.8492  0.4891
P  0.2578  0.9620  0.5280
P  0.0280  0.4620  0.7578
P  0.9620  0.5280  0.2578
P  0.5280  0.2578  0.9620
P  0.4620  0.7578  0.0280
P  0.7578  0.0280  0.4620
Ta  0.3509  0.3509  0.3509
Ta  0.8509  0.8509  0.8509
Zn  0.5030  0.5030  0.5030
Zn  0.0030  0.0030  0.0030
Ti  0.1509  0.1509  0.1509
Ti  0.6509  0.6509  0.6509

total energy after the MP2020 corrections = -146.53 eV per formula unit



Record 12
Here is an optimized crystal structure of SrSn2Br6O5 from the Materials Project. Energies are from PBE.

Unit cell a=9.3845 b=9.3845 c=11.0454 alpha=72.21 beta=72.21 gamma=102.72
Positions (direct):
Sn  0.7871  0.6298  0.9109
Sn  0.2129  0.3702  0.0891
Sn  0.6298  0.7871  0.4109
Sn  0.3702  0.2129  0.5891
O  0.0658  0.9939  0.9937
O  0.9939  0.0658  0.4937
O  0.7891  0.8410  0.8302
O  0.1590  0.2109  0.6698
O  0.6986  0.3014  0.7500
O  0.9342  0.0061  0.0063
O  0.0061  0.9342  0.5063
O  0.3014  0.6986  0.2500
O  0.8410  0.7891  0.3302
O  0.2109  0.1590  0.1698
Br  0.3435  0.0287  0.4639
Br  0.4770  0.1278  0.7912
Br  0.5230  0.8722  0.2088
Br  0.5817  0.3671  0.0902
Br  0.6565  0.9713  0.5361
Br  0.1278  0.4770  0.2912
Br  0.9713  0.6565  0.0361
Br  0.3671  0.5817  0.5902
Br  0.0287  0.3435  0.9639
Br  0.4183  0.6329  0.9098
Br  0.8722  0.5230  0.7088
Br  0.6329  0.4183  0.4098
Sr  0.1208  0.8792  0.2500
Sr  0.8792  0.1208  0.7500

total energy after the MP2020 corrections = -54.66 eV per formula unit



Taking the records one at a time from the top gives ΔE_f values of -3.3191 -1.0132 -0.3153 -0.2781 -0.4099 -2.8898 -0.0791 -2.6541 -0.7481 -0.3005 -2.7725 -0.7419 eV per atom.